Arrangement P

A plane-wave DFT calculation with PBE was carried out for crystalline HfMg6Ni at its relaxed geometry.

- Total moment: 0.000 μB per atom
- Crystal system: orthorhombic

Unit cell a=6.2216 b=6.2216 c=4.8918 alpha=90.00 beta=90.00 gamma=123.06
Last column: nearest neighbours and their distance in Å.
Fractional positions:
Ni 0.8358 0.1642 0.5000  10 Mg 2.96-3.17, 2 Hf 2.97
Mg 0.6784 0.3216 0.0000  10 Mg 2.94-3.29, 2 Ni 2.99
Mg 0.6719 0.8460 0.0000  7 Mg 2.86-3.15, 2 Ni 2.96, 2 Hf 3.03
Mg 0.1540 0.3281 0.0000  7 Mg 2.86-3.15, 2 Ni 2.96, 2 Hf 3.03
Mg 0.3267 0.1651 0.5000  8 Mg 2.92-3.07, 2 Ni 3.05-3.17, 2 Hf 3.08-3.15
Mg 0.1699 0.8301 0.0000  10 Mg 2.97-3.15, 2 Hf 3.00
Mg 0.8349 0.6733 0.5000  8 Mg 2.92-3.07, 2 Ni 3.05-3.17, 2 Hf 3.08-3.15
Hf 0.3284 0.6716 0.5000  2 Ni 2.97, 10 Mg 3.00-3.15

=====

Arrangement Q

A plane-wave DFT calculation with PBE was carried out for crystalline HfMg6Ni at its relaxed geometry.

- Total moment: 0.000 μB per atom

Unit cell a=4.8193 b=6.0765 c=11.0789 alpha=90.00 beta=90.00 gamma=90.00
Last column: nearest neighbours and their distance in Å.
Fractional positions:
Ni 0.0000 0.5000 0.3041  2 Hf 2.71, 2 Mg 2.89
Ni 0.0000 0.0000 0.8041  2 Hf 2.71, 2 Mg 2.89
Mg 0.0000 0.2558 0.0800  1 Ni 2.89, 8 Mg 2.95-3.19, 2 Hf 3.09
Mg 0.5000 0.0000 0.1666  10 Mg 2.98-3.27, 2 Hf 3.05
Mg 0.5000 0.2445 0.9261  8 Mg 2.95-3.27, 1 Hf 2.99, 2 Ni 3.14
Mg 0.0000 0.0000 0.3254  10 Mg 2.98-3.19, 2 Ni 3.05
Mg 0.0000 0.5000 0.8254  10 Mg 2.98-3.19, 2 Ni 3.05
Mg 0.5000 0.5000 0.6666  10 Mg 2.98-3.27, 2 Hf 3.05
Mg 0.0000 0.2442 0.5800  1 Ni 2.89, 8 Mg 2.95-3.19, 2 Hf 3.09
Mg 0.5000 0.7445 0.4261  8 Mg 2.95-3.27, 1 Hf 2.99, 2 Ni 3.14
Mg 0.5000 0.7555 0.9261  8 Mg 2.95-3.27, 1 Hf 2.99, 2 Ni 3.14
Mg 0.5000 0.2555 0.4261  8 Mg 2.95-3.27, 1 Hf 2.99, 2 Ni 3.14
Mg 0.0000 0.7442 0.0800  1 Ni 2.89, 8 Mg 2.95-3.19, 2 Hf 3.09
Mg 0.0000 0.7558 0.5800  1 Ni 2.89, 8 Mg 2.95-3.19, 2 Hf 3.09
Hf 0.5000 0.0000 0.6919  2 Ni 2.71, 2 Mg 2.99
Hf 0.5000 0.5000 0.1919  2 Ni 2.71, 2 Mg 2.99

=====

Most stable structure: arrangement Q